(1)
Computed, not measured: a relaxed structure of USb at the PBE level of DFT.

Cell lengths 4.3836, 4.3836, 4.3836 Å; angles 60.00, 60.00, 60.00 degrees
Atoms (fractional coordinates):
U 0.5000 0.5000 0.5000
Sb 0.0000 0.0000 0.0000

E_form = -0.52 eV/f.u.
crystal system = cubic
SG = No. 225
corrected total energy (MP2020 scheme) = -7.972 eV per atom

=====

(2)
Computed, not measured: a relaxed structure of U5VSb3 at the PBE level of DFT.

Cell lengths 9.1286, 9.1286, 5.9338 Å; angles 90.00, 90.00, 120.00 degrees
Atoms (fractional coordinates):
U 0.2580 0.0000 0.7500
U 0.7420 0.0000 0.2500
U 0.0000 0.2580 0.7500
U 0.0000 0.7420 0.2500
U 0.7420 0.7420 0.7500
U 0.2580 0.2580 0.2500
U 0.3333 0.6667 0.5000
U 0.6667 0.3333 0.5000
U 0.6667 0.3333 0.0000
U 0.3333 0.6667 0.0000
V 0.0000 0.0000 0.5000
V 0.0000 0.0000 0.0000
Sb 0.6161 0.0000 0.7500
Sb 0.3839 0.0000 0.2500
Sb 0.0000 0.6161 0.7500
Sb 0.0000 0.3839 0.2500
Sb 0.3839 0.3839 0.7500
Sb 0.6161 0.6161 0.2500

E_form = 0.22 eV/f.u.
crystal system = hexagonal
SG = No. 193
corrected total energy (MP2020 scheme) = -8.634 eV per atom

=====

(3)
Computed, not measured: a relaxed structure of U3VSb5 at the PBE level of DFT.

Cell lengths 9.1131, 9.1131, 6.0822 Å; angles 90.00, 90.00, 120.00 degrees
Atoms (fractional coordinates):
U 0.3887 0.3887 0.7500
U 0.6113 0.0000 0.7500
U 0.0000 0.6113 0.7500
U 0.6113 0.6113 0.2500
U 0.3887 0.0000 0.2500
U 0.0000 0.3887 0.2500
V 0.0000 0.0000 0.0000
V 0.0000 0.0000 0.5000
Sb 0.7435 0.7435 0.7500
Sb 0.2565 0.0000 0.7500
Sb 0.0000 0.2565 0.7500
Sb 0.2565 0.2565 0.2500
Sb 0.7435 0.0000 0.2500
Sb 0.0000 0.7435 0.2500
Sb 0.6667 0.3333 0.0000
Sb 0.3333 0.6667 0.0000
Sb 0.3333 0.6667 0.5000
Sb 0.6667 0.3333 0.5000

E_form = -3.45 eV/f.u.
crystal system = hexagonal
SG = No. 193
corrected total energy (MP2020 scheme) = -7.451 eV per atom

=====

Number 1: total moment 2.70 μB per cell, mass density 10.03 g/cm3. Number 2: total moment 13.27 μB per cell, mass density 12.46 g/cm3. Number 3: total moment 17.72 μB per cell, mass density 10.43 g/cm3.